First-principles (PBE) data for a relaxed Na2Zr4Ti4Si5S7O48 crystal, as listed in the Materials Project database.

Values from the calculation:
E_form   -2.773 eV per atom
Energy   -7.473 eV/atom

Lattice parameters (Å, degrees): 8.8570 15.3473 23.0943 89.52 89.83 89.93
Last column: nearest neighbours and their distance in Å.
Space group P1 (No. 1)
Inequivalent atoms, fractional coordinates:
Na  0.0000  0.0000  0.0000 [1 per cell]  6 O 2.58-2.85
Na  0.0043  0.3453  0.6669 [1 per cell]  6 O 2.51-2.74
Na  0.4935  0.8463  0.1621 [1 per cell]  3 O 2.34-2.56
Na  0.4979  0.5042  0.5038 [1 per cell]  6 O 2.50-2.77
Na  0.5075  0.5084  0.9975 [1 per cell]  4 O 2.42-2.68
Na  0.9898  0.0054  0.4998 [1 per cell]  5 O 2.45-2.64
Zr  0.0097  0.9985  0.6494 [1 per cell]  3 O 1.93-2.08
Zr  0.0105  0.0035  0.1436 [1 per cell]  3 O 1.96-2.00
Zr  0.4841  0.5044  0.6451 [1 per cell]  3 O 1.95-2.03
Zr  0.4857  0.4981  0.1466 [1 per cell]  4 O 1.96-2.15
Zr  0.5014  0.8391  0.3155 [1 per cell]  6 O 1.98-2.18
Zr  0.5020  0.8440  0.0213 [1 per cell]  5 O 1.99-2.15
Zr  0.5069  0.4983  0.8580 [1 per cell]  5 O 2.01-2.22
Zr  0.5100  0.1811  0.4761 [1 per cell]  3 O 1.95-2.15
Zr  0.9841  0.3421  0.5253 [1 per cell]  5 O 1.99-2.21
Zr  0.9876  0.6847  0.9730 [1 per cell]  3 O 1.95-1.97
Zr  0.9878  0.9977  0.3576 [1 per cell]  5 O 2.00-2.23
Zr  0.9947  0.3375  0.8162 [1 per cell]  6 O 1.98-2.21
Ti  0.0007  0.6803  0.1947 [1 per cell]  3 O 1.78-1.90
Ti  0.0062  0.6801  0.4818 [1 per cell]  3 O 1.80-1.85
Ti  0.0143  0.0012  0.8523 [1 per cell]  2 O 1.79-1.80
Ti  0.0194  0.6757  0.6844 [1 per cell]  3 O 1.80-1.97
Ti  0.4796  0.1744  0.1818 [1 per cell]  2 O 1.76-1.80
Ti  0.4857  0.5087  0.3507 [1 per cell]  1 O 1.76
Ti  0.4883  0.1780  0.9801 [1 per cell]  4 O 1.82-2.03
Ti  0.4888  0.8394  0.8171 [1 per cell]  3 O 1.78-1.89
Ti  0.4969  0.1793  0.6975 [1 per cell]  3 O 1.77-1.88
Ti  0.5096  0.8410  0.5289 [1 per cell]  4 O 1.82-1.96
Ti  0.9872  0.3413  0.0276 [1 per cell]  4 O 1.82-1.99
Ti  0.9905  0.3396  0.3120 [1 per cell]  4 O 1.81-2.03
Si  0.1373  0.5344  0.5825 [1 per cell]  4 O 1.62-1.67
Si  0.1479  0.8600  0.2509 [1 per cell]  4 O 1.62-1.64
Si  0.1488  0.8157  0.5812 [1 per cell]  4 O 1.63-1.66
Si  0.1976  0.5060  0.2520 [1 per cell]  4 O 1.60-1.72
Si  0.2145  0.8447  0.9175 [1 per cell]  4 O 1.61-1.68
Si  0.2991  0.0053  0.7527 [1 per cell]  4 O 1.60-1.69
Si  0.3460  0.3141  0.0803 [1 per cell]  4 O 1.62-1.67
Si  0.3469  0.3604  0.7514 [1 per cell]  4 O 1.61-1.64
Si  0.3588  0.0324  0.0821 [1 per cell]  4 O 1.60-1.69
Si  0.6299  0.6976  0.9158 [1 per cell]  4 O 1.63
Si  0.6379  0.3143  0.5888 [1 per cell]  4 O 1.62-1.64
Si  0.7111  0.3341  0.9231 [1 per cell]  4 O 1.62-1.65
Si  0.7838  0.8338  0.4229 [1 per cell]  4 O 1.62-1.65
Si  0.8501  0.8139  0.0880 [1 per cell]  4 O 1.62-1.66
Si  0.8651  0.1976  0.4163 [1 per cell]  4 O 1.62-1.64
S  0.1396  0.1930  0.9209 [1 per cell]  4 O 1.47-1.50
S  0.1398  0.4804  0.9219 [1 per cell]  4 O 1.46-1.49
S  0.1455  0.1557  0.2522 [1 per cell]  4 O 1.47-1.50
S  0.2136  0.1729  0.5860 [1 per cell]  4 O 1.46-1.50
S  0.2808  0.6729  0.0867 [1 per cell]  4 O 1.46-1.52
S  0.2842  0.3455  0.4149 [1 per cell]  4 O 1.46-1.52
S  0.3510  0.6549  0.7516 [1 per cell]  4 O 1.47-1.51
S  0.3551  0.6917  0.4200 [1 per cell]  4 O 1.47-1.52
S  0.3545  0.9818  0.4218 [1 per cell]  4 O 1.47-1.49
S  0.6386  0.0285  0.5850 [1 per cell]  4 O 1.44-1.51
S  0.6418  0.3619  0.2541 [1 per cell]  4 O 1.45-1.50
S  0.6447  0.6473  0.2516 [1 per cell]  4 O 1.46-1.50
S  0.6472  0.9885  0.9152 [1 per cell]  4 O 1.47-1.51
S  0.7029  0.0131  0.2493 [1 per cell]  4 O 1.46-1.51
S  0.7182  0.6767  0.5841 [1 per cell]  4 O 1.47-1.51
S  0.7774  0.1769  0.0840 [1 per cell]  4 O 1.46-1.50
S  0.7928  0.5127  0.7490 [1 per cell]  4 O 1.46-1.50
S  0.8475  0.4864  0.4147 [1 per cell]  4 O 1.45-1.51
S  0.8505  0.1481  0.7515 [1 per cell]  4 O 1.46-1.50
S  0.8523  0.8598  0.7535 [1 per cell]  4 O 1.45-1.51
S  0.8577  0.5280  0.0852 [1 per cell]  4 O 1.45-1.51
O  0.0676  0.1065  0.9125 [1 per cell]  1 S 1.49
O  0.0678  0.4368  0.5796 [1 per cell]  1 Si 1.62
O  0.0680  0.5825  0.6418 [1 per cell]  1 Si 1.67, 1 Ti 1.80
O  0.0694  0.7696  0.5254 [1 per cell]  1 Si 1.64, 1 Ti 1.80
O  0.0702  0.7644  0.2400 [1 per cell]  1 Si 1.64, 1 Ti 1.78
O  0.0713  0.1196  0.2007 [1 per cell]  1 S 1.47
O  0.0713  0.2351  0.9713 [1 per cell]  1 S 1.47
O  0.0709  0.5659  0.9285 [1 per cell]  1 S 1.46
O  0.0707  0.9115  0.5882 [1 per cell]  1 Si 1.63
O  0.0716  0.9036  0.3078 [1 per cell]  1 Si 1.62
O  0.0785  0.4406  0.8681 [1 per cell]  1 S 1.49
O  0.0822  0.2448  0.2624 [1 per cell]  1 S 1.50
O  0.0903  0.5912  0.5259 [1 per cell]  1 Si 1.62
O  0.0958  0.5896  0.2380 [1 per cell]  1 Si 1.60
O  0.0963  0.9282  0.9047 [1 per cell]  1 Si 1.68, 1 Ti 1.80
O  0.0975  0.4221  0.2710 [1 per cell]  1 Si 1.62
O  0.1067  0.0975  0.5916 [1 per cell]  1 S 1.50
O  0.1115  0.4241  0.9730 [1 per cell]  1 S 1.48
O  0.1110  0.7575  0.6402 [1 per cell]  1 Si 1.66, 1 Ti 1.80
O  0.1145  0.7575  0.9218 [1 per cell]  1 Si 1.61
O  0.1175  0.2469  0.8670 [1 per cell]  1 S 1.50
O  0.1201  0.9235  0.1953 [1 per cell]  1 Si 1.63
O  0.1205  0.2539  0.5807 [1 per cell]  1 S 1.49
O  0.1220  0.0989  0.3032 [1 per cell]  1 S 1.47
O  0.1659  0.3236  0.0690 [1 per cell]  1 Si 1.62
O  0.1658  0.3463  0.7571 [1 per cell]  1 Si 1.62
O  0.1745  0.0324  0.0866 [1 per cell]  1 Si 1.64
O  0.1754  0.0217  0.8072 [1 per cell]  1 Si 1.69, 1 Ti 1.79
O  0.1832  0.6633  0.7412 [1 per cell]  1 S 1.51
O  0.1861  0.9870  0.6974 [1 per cell]  1 Si 1.65
O  0.1871  0.6788  0.1392 [1 per cell]  1 S 1.47
O  0.1878  0.3341  0.3644 [1 per cell]  1 S 1.46
O  0.1886  0.9911  0.4155 [1 per cell]  1 S 1.48
O  0.1907  0.6808  0.4267 [1 per cell]  1 S 1.47
O  0.1958  0.6573  0.0337 [1 per cell]  1 S 1.46
O  0.2004  0.3637  0.4686 [1 per cell]  1 S 1.47
O  0.3003  0.1590  0.5321 [1 per cell]  1 S 1.48
O  0.3053  0.1832  0.9271 [1 per cell]  1 S 1.48
O  0.3060  0.4894  0.9156 [1 per cell]  1 S 1.48
O  0.3067  0.1802  0.6377 [1 per cell]  1 S 1.46
O  0.3070  0.8676  0.9754 [1 per cell]  1 Si 1.61
O  0.3116  0.1653  0.2422 [1 per cell]  1 S 1.50
O  0.3126  0.4849  0.1986 [1 per cell]  1 Si 1.63
O  0.3215  0.5324  0.5863 [1 per cell]  1 Si 1.63
O  0.3232  0.5210  0.3079 [1 per cell]  1 Si 1.72, 1 Ti 1.76
O  0.3229  0.8345  0.8610 [1 per cell]  1 Si 1.63, 1 Ti 1.78
O  0.3291  0.8240  0.5683 [1 per cell]  1 Si 1.63
O  0.3290  0.8456  0.2584 [1 per cell]  1 Si 1.63
O  0.3723  0.5977  0.8021 [1 per cell]  1 S 1.47
O  0.3742  0.7526  0.0830 [1 per cell]  1 S 1.48
O  0.3760  0.4222  0.6946 [1 per cell]  1 Si 1.63
O  0.3780  0.2659  0.4215 [1 per cell]  1 S 1.48
O  0.3794  0.7451  0.3666 [1 per cell]  1 S 1.49
O  0.3837  0.9262  0.4729 [1 per cell]  1 S 1.47
O  0.3853  0.2573  0.1402 [1 per cell]  1 Si 1.67, 1 Ti 1.80
O  0.3882  0.5964  0.0937 [1 per cell]  1 S 1.52
O  0.3920  0.4211  0.4059 [1 per cell]  1 S 1.52
O  0.3977  0.0914  0.7370 [1 per cell]  1 Si 1.62
O  0.4058  0.0907  0.0263 [1 per cell]  1 Si 1.62
O  0.4066  0.9237  0.7663 [1 per cell]  1 Si 1.60
O  0.4150  0.7423  0.7590 [1 per cell]  1 S 1.47
O  0.4177  0.9425  0.3682 [1 per cell]  1 S 1.49
O  0.4212  0.6157  0.6993 [1 per cell]  1 S 1.49
O  0.4217  0.0685  0.4282 [1 per cell]  1 S 1.47
O  0.4232  0.4043  0.8074 [1 per cell]  1 Si 1.61
O  0.4249  0.4100  0.0887 [1 per cell]  1 Si 1.64
O  0.4260  0.0827  0.1416 [1 per cell]  1 Si 1.69, 1 Ti 1.76
O  0.4257  0.2651  0.7407 [1 per cell]  1 Si 1.64, 1 Ti 1.77
O  0.4260  0.7309  0.4707 [1 per cell]  1 S 1.47
O  0.4266  0.2685  0.0251 [1 per cell]  1 Si 1.62
O  0.4271  0.6032  0.4104 [1 per cell]  1 S 1.52
O  0.4318  0.9367  0.0833 [1 per cell]  1 Si 1.60
O  0.5523  0.6019  0.9080 [1 per cell]  1 Si 1.63
O  0.5620  0.7414  0.9743 [1 per cell]  1 Si 1.63
O  0.5681  0.2729  0.5293 [1 per cell]  1 Si 1.64
O  0.5697  0.9396  0.5757 [1 per cell]  1 S 1.51
O  0.5721  0.4075  0.3048 [1 per cell]  1 S 1.50
O  0.5725  0.4141  0.5914 [1 per cell]  1 Si 1.64
O  0.5727  0.0655  0.6364 [1 per cell]  1 S 1.44
O  0.5747  0.2764  0.2463 [1 per cell]  1 S 1.45
O  0.5761  0.6078  0.2001 [1 per cell]  1 S 1.47
O  0.5763  0.7354  0.2584 [1 per cell]  1 S 1.49
O  0.5770  0.0736  0.9252 [1 per cell]  1 S 1.47
O  0.5776  0.9461  0.8651 [1 per cell]  1 S 1.47
O  0.5968  0.2511  0.6431 [1 per cell]  1 Si 1.62
O  0.5994  0.7596  0.8592 [1 per cell]  1 Si 1.63
O  0.6053  0.9334  0.2571 [1 per cell]  1 S 1.51
O  0.6074  0.0901  0.2414 [1 per cell]  1 S 1.46
O  0.6069  0.4224  0.9188 [1 per cell]  1 Si 1.64
O  0.6084  0.2486  0.9343 [1 per cell]  1 Si 1.62
O  0.6081  0.5942  0.3045 [1 per cell]  1 S 1.50
O  0.6110  0.0813  0.5315 [1 per cell]  1 S 1.49
O  0.6172  0.7550  0.5763 [1 per cell]  1 S 1.51
O  0.6177  0.6001  0.5903 [1 per cell]  1 S 1.48
O  0.6238  0.4173  0.2014 [1 per cell]  1 S 1.49
O  0.6323  0.9326  0.9689 [1 per cell]  1 S 1.51
O  0.6644  0.8479  0.4772 [1 per cell]  1 Si 1.65, 1 Ti 1.82
O  0.6677  0.8209  0.0853 [1 per cell]  1 Si 1.62
O  0.6800  0.4942  0.4064 [1 per cell]  1 S 1.50
O  0.6816  0.1885  0.4231 [1 per cell]  1 Si 1.64
O  0.6854  0.1564  0.7449 [1 per cell]  1 S 1.48
O  0.6850  0.1916  0.1371 [1 per cell]  1 S 1.49
O  0.6846  0.8245  0.3639 [1 per cell]  1 Si 1.63
O  0.6870  0.1617  0.0323 [1 per cell]  1 S 1.46
O  0.6901  0.5156  0.0917 [1 per cell]  1 S 1.50
O  0.6908  0.8529  0.7626 [1 per cell]  1 S 1.45
O  0.6951  0.4973  0.6983 [1 per cell]  1 S 1.48
O  0.7001  0.5231  0.8022 [1 per cell]  1 S 1.49
O  0.7950  0.0233  0.3028 [1 per cell]  1 S 1.49
O  0.8003  0.9976  0.1990 [1 per cell]  1 S 1.47
O  0.8054  0.0172  0.5892 [1 per cell]  1 S 1.49
O  0.8079  0.3553  0.2635 [1 per cell]  1 S 1.49
O  0.8079  0.6918  0.6366 [1 per cell]  1 S 1.47
O  0.8086  0.6539  0.2465 [1 per cell]  1 S 1.46
O  0.8089  0.6622  0.5317 [1 per cell]  1 S 1.47
O  0.8099  0.3245  0.8637 [1 per cell]  1 Si 1.63
O  0.8114  0.6837  0.9227 [1 per cell]  1 Si 1.63
O  0.8136  0.9990  0.9058 [1 per cell]  1 S 1.50
O  0.8227  0.3216  0.5842 [1 per cell]  1 Si 1.64
O  0.8303  0.3484  0.9772 [1 per cell]  1 Si 1.65, 1 Ti 1.82
O  0.8682  0.4304  0.4681 [1 per cell]  1 S 1.51
O  0.8761  0.9165  0.7003 [1 per cell]  1 S 1.51
O  0.8773  0.1005  0.0919 [1 per cell]  1 S 1.48
O  0.8766  0.2552  0.0769 [1 per cell]  1 S 1.50
O  0.8825  0.5799  0.0325 [1 per cell]  1 S 1.47
O  0.8839  0.0967  0.8035 [1 per cell]  1 S 1.46
O  0.8876  0.5898  0.7406 [1 per cell]  1 S 1.46
O  0.8875  0.7485  0.4341 [1 per cell]  1 Si 1.62
O  0.8882  0.9222  0.4187 [1 per cell]  1 Si 1.64
O  0.8903  0.4331  0.7562 [1 per cell]  1 S 1.50
O  0.8977  0.7514  0.1438 [1 per cell]  1 Si 1.66, 1 Ti 1.84
O  0.9020  0.2607  0.3601 [1 per cell]  1 Si 1.64, 1 Ti 1.81
O  0.9161  0.5713  0.4233 [1 per cell]  1 S 1.45
O  0.9168  0.4428  0.3641 [1 per cell]  1 S 1.48
O  0.9178  0.1093  0.6988 [1 per cell]  1 S 1.48
O  0.9175  0.2376  0.7562 [1 per cell]  1 S 1.50
O  0.9206  0.9134  0.0930 [1 per cell]  1 Si 1.66
O  0.9230  0.5647  0.1373 [1 per cell]  1 S 1.45
O  0.9248  0.7747  0.7434 [1 per cell]  1 S 1.48
O  0.9255  0.4385  0.0765 [1 per cell]  1 S 1.51
O  0.9261  0.7732  0.0299 [1 per cell]  1 Si 1.63
O  0.9264  0.9044  0.8035 [1 per cell]  1 S 1.50
O  0.9346  0.2430  0.4736 [1 per cell]  1 Si 1.62
O  0.9380  0.1018  0.4086 [1 per cell]  1 Si 1.62